Lu2Al3Fe | PBE | relaxed

Cell: 5.3932 5.3932 12.9351 Å, 90.00 90.00 120.00°
Space group R-3m (No. 166, hexagonal axes)
Unique sites:
1 Lu 0.0000 0.0000 0.1268 [6 per cell]
2 Al 0.0000 0.5000 0.0000 [9 per cell]
3 Fe 0.0000 0.0000 0.5000 [3 per cell]

Output
- crystal system = trigonal
- formation energy (eV/atom) = -0.416
- calculated total energy (eV per atom) = -5.21